1.
Na4Al3Si3ClO12 after structural relaxation, computed with PBE.

Computed properties:
Crystal system: cubic
Maximum piezoelectric response in C/m2: 0.20
Polymorph energy (0 for the lowest one) in meV/atom: 0
E_form in eV/atom: -3.0578

Lattice parameters (Å, degrees): 8.9707 8.9707 8.9707 90.00 90.00 90.00
Space group P-43n (No. 218)
Inequivalent atoms, fractional coordinates:
Na 0.1776 0.1776 0.1776 x8
Al 0.0000 0.2500 0.5000 x6
Si 0.0000 0.5000 0.2500 x6
Cl 0.0000 0.0000 0.0000 x2
O 0.0625 0.3608 0.6493 x24

---

2.
Rb2NaAlCl6 after structural relaxation, computed with PBE.

Computed properties:
Crystal system: cubic
Spin magnetization in μB per atom: 0.0001
E_form in eV/atom: -2.1460

Lattice parameters (Å, degrees): 10.2764 10.2764 10.2764 90.00 90.00 90.00
Space group Fm-3m (No. 225)
Inequivalent atoms, fractional coordinates:
Rb 0.2500 0.2500 0.2500 x8
Na 0.0000 0.0000 0.0000 x4
Al 0.0000 0.0000 0.5000 x4
Cl 0.0000 0.0000 0.2712 x24

---

3.
NbAl2Se2Cl8 after structural relaxation, computed with PBE.

Computed properties:
Crystal system: monoclinic
Spin magnetization in μB per atom: 0.0000
E_form in eV/atom: -1.6756

Lattice parameters (Å, degrees): 9.2813 10.2438 18.7464 90.00 116.56 90.00
Space group P2_1/c (No. 14)
Inequivalent atoms, fractional coordinates:
Nb 0.0845 0.1065 0.0581 x4
Al 0.0698 0.2302 0.2382 x4
Al 0.3920 0.1496 0.5824 x4
Se 0.1928 0.6356 0.5708 x4
Se 0.2004 0.5105 0.4690 x4
Cl 0.0013 0.1854 0.6182 x4
Cl 0.1281 0.6965 0.2374 x4
Cl 0.1402 0.1880 0.4877 x4
Cl 0.1419 0.0399 0.2050 x4
Cl 0.2673 0.1699 0.8273 x4
Cl 0.3908 0.1726 0.1504 x4
Cl 0.3990 0.5237 0.1444 x4
Cl 0.4361 0.6720 0.9611 x4

---

4.
Al2NiCl8 after structural relaxation, computed with PBE.

Computed properties:
Crystal system: monoclinic
E_form in eV/atom: -1.7088

Lattice parameters (Å, degrees): 17.2921 7.8968 11.5180 90.00 129.76 90.00
Space group C2/c (No. 15)
Inequivalent atoms, fractional coordinates:
Al 0.0849 0.2448 0.0317 x8
Ni 0.0000 0.0034 0.7500 x4
Cl 0.0670 0.2172 0.6871 x8
Cl 0.0825 0.2256 0.2188 x8
Cl 0.1496 0.0182 0.0121 x8
Cl 0.1571 0.4726 0.0541 x8

---

5.
AlClO after structural relaxation, computed with PBE.

Computed properties:
Crystal system: orthorhombic
E_form in eV/atom: -2.5805

Lattice parameters (Å, degrees): 3.1699 3.6608 8.4955 90.00 90.00 90.00
Space group Pmmn (No. 59, origin choice 2)
Inequivalent atoms, fractional coordinates:
Al 0.2500 0.2500 0.0979 x2
Cl 0.2500 0.7500 0.7037 x2
O 0.2500 0.7500 0.0457 x2

---

6.
AlSCl3O2 after structural relaxation, computed with PBE.

Computed properties:
Crystal system: triclinic
Spin magnetization in μB per atom: 0.0001
E_form in eV/atom: -1.5688

Lattice parameters (Å, degrees): 6.4867 7.7882 8.0830 93.41 106.13 109.94
Space group P-1 (No. 2)
Inequivalent atoms, fractional coordinates:
Al 0.2029 0.1955 0.3452 x2
S 0.1104 0.2357 0.7220 x2
Cl 0.0418 0.3214 0.1531 x2
Cl 0.4160 0.2020 0.8588 x2
Cl 0.4357 0.7230 0.5913 x2
O 0.0775 0.9444 0.2757 x2
O 0.1196 0.2310 0.5366 x2

---

7.
Al13Si5ClO38 after structural relaxation, computed with PBE.

Computed properties:
Crystal system: cubic
Spin magnetization in μB per atom: 0.3158
E_form in eV/atom: -2.5607

Lattice parameters (Å, degrees): 13.9828 13.9828 13.9828 90.00 90.00 90.00
Space group F-43m (No. 216)
Inequivalent atoms, fractional coordinates:
Al 0.0000 0.0000 0.0000 x4
Al 0.0175 0.1659 0.8341 x48
Si 0.0000 0.0000 0.5000 x4
Si 0.1337 0.1337 0.6337 x16
Cl 0.2500 0.2500 0.2500 x4
O 0.0302 0.2500 0.2500 x24
O 0.0668 0.0668 0.5668 x16
O 0.0743 0.0743 0.1948 x48
O 0.0754 0.0754 0.9246 x16
O 0.1110 0.1110 0.7478 x48

---

8.
Al2SnCl6O after structural relaxation, computed with PBE.

Computed properties:
Crystal system: monoclinic
Spin magnetization in μB per atom: 0.0000
E_form in eV/atom: -1.7128

Lattice parameters (Å, degrees): 9.5782 12.6286 12.8273 90.00 131.39 90.00
Space group P2_1/c (No. 14)
Inequivalent atoms, fractional coordinates:
Al 0.0466 0.0074 0.4226 x4
Al 0.3646 0.6082 0.2255 x4
Sn 0.2197 0.5228 0.7035 x4
Cl 0.0107 0.1335 0.0322 x4
Cl 0.0497 0.0970 0.7446 x4
Cl 0.2273 0.1218 0.4457 x4
Cl 0.3273 0.7227 0.3269 x4
Cl 0.4433 0.5179 0.6309 x4
Cl 0.4848 0.6669 0.1431 x4
O 0.1433 0.5514 0.0880 x4

---

9.
Al2PdCl8 after structural relaxation, computed with PBE.

Computed properties:
Crystal system: monoclinic
E_form in eV/atom: -1.6767

Lattice parameters (Å, degrees): 6.9079 7.6416 14.0429 90.00 99.17 90.00
Space group P2_1/c (No. 14)
Inequivalent atoms, fractional coordinates:
Al 0.1674 0.2241 0.3995 x4
Pd 0.5000 0.0000 0.0000 x2
Cl 0.1272 0.7199 0.0784 x4
Cl 0.2479 0.0333 0.3052 x4
Cl 0.2678 0.0104 0.8591 x4
Cl 0.3688 0.2336 0.5415 x4

---

10.
RbAlCl4 after structural relaxation, computed with PBE.

Computed properties:
Crystal system: orthorhombic
E_form in eV/atom: -2.1849

Lattice parameters (Å, degrees): 11.5334 7.2607 9.4553 90.00 90.00 90.00
Space group Pnma (No. 62)
Inequivalent atoms, fractional coordinates:
Rb 0.1841 0.2500 0.1596 x4
Al 0.0632 0.2500 0.6903 x4
Cl 0.0820 0.0084 0.8230 x8
Cl 0.1073 0.7500 0.4014 x4
Cl 0.1989 0.2500 0.5342 x4

---

11.
Rb2AlTlCl6 after structural relaxation, computed with PBE.

Computed properties:
Crystal system: cubic
Spin magnetization in μB per atom: 0.0000
E_form in eV/atom: -1.9634

Lattice parameters (Å, degrees): 10.8131 10.8131 10.8131 90.00 90.00 90.00
Space group Fm-3m (No. 225)
Inequivalent atoms, fractional coordinates:
Rb 0.2500 0.2500 0.2500 x8
Al 0.0000 0.0000 0.0000 x4
Tl 0.0000 0.0000 0.5000 x4
Cl 0.0000 0.0000 0.2172 x24

---

12.
AlSeCl7 after structural relaxation, computed with PBE.

Computed properties:
Crystal system: triclinic
Polymorph energy (0 for the lowest one) in meV/atom: 0
E_form in eV/atom: -1.3489

Lattice parameters (Å, degrees): 6.5753 8.4661 10.2070 85.69 76.70 83.56
Space group P1 (No. 1)
Inequivalent atoms, fractional coordinates:
Al 0.0000 0.0000 0.0000 x1
Al 0.2491 0.4421 0.4360 x1
Se 0.5726 0.6053 0.0103 x1
Se 0.7880 0.0519 0.4789 x1
Cl 0.0493 0.1991 0.8582 x1
Cl 0.0554 0.9380 0.5529 x1
Cl 0.0710 0.0572 0.1876 x1
Cl 0.2024 0.7955 0.9113 x1
Cl 0.2716 0.6340 0.2786 x1
Cl 0.3297 0.5238 0.6073 x1
Cl 0.4321 0.3894 0.9918 x1
Cl 0.4517 0.2348 0.3534 x1
Cl 0.5752 0.0937 0.6731 x1
Cl 0.6662 0.8371 0.4361 x1
Cl 0.6756 0.9426 0.0388 x1
Cl 0.7646 0.6135 0.8057 x1
Cl 0.8144 0.5075 0.1152 x1
Cl 0.9239 0.3847 0.4840 x1

---

13.
AlSeCl7 after structural relaxation, computed with PBE.

Computed properties:
Crystal system: triclinic
Polymorph energy (0 for the lowest one) in meV/atom: 142
Spin magnetization in μB per atom: 0.0000
E_form in eV/atom: -1.2074

Lattice parameters (Å, degrees): 6.8635 8.7294 10.2048 85.78 73.71 82.90
Space group P1 (No. 1)
Inequivalent atoms, fractional coordinates:
Al 0.0000 0.0000 0.0000 x1
Al 0.2545 0.4279 0.4191 x1
Se 0.5749 0.5514 0.7820 x1
Se 0.8023 0.0457 0.4662 x1
Cl 0.0608 0.9412 0.5352 x1
Cl 0.0662 0.1913 0.8570 x1
Cl 0.0755 0.0475 0.1868 x1
Cl 0.1938 0.7960 0.9097 x1
Cl 0.2847 0.6157 0.2721 x1
Cl 0.3088 0.5041 0.6036 x1
Cl 0.4620 0.2255 0.3460 x1
Cl 0.4716 0.3958 0.9481 x1
Cl 0.5886 0.0846 0.6670 x1
Cl 0.6903 0.8362 0.4260 x1
Cl 0.6920 0.9505 0.0418 x1
Cl 0.8235 0.4879 0.1290 x1
Cl 0.8373 0.6289 0.8155 x1
Cl 0.9396 0.3677 0.4772 x1